(1)
This record from the Materials Project describes an optimized crystal structure of Fe5O7F3. The functional is PBE with a Hubbard U.

Summary:
MP2020-corrected energy   -217.23 eV/cell
Symmetry   P1, No. 1
ΔH_f (0 K)   -25.88 eV per formula unit
Polymorph energy (0 for the lowest one)   0.0264 eV/atom
M_tot   23.00 μB per formula unit
Calculated total energy   -6.076 eV/atom

Cell lengths 4.658, 4.664, 15.281 Å; angles 89.82, 89.71, 88.40 degrees
Atoms (fractional coordinates):
Fe 0.000 0.000 0.000
Fe 0.001 0.961 0.597
Fe 0.014 0.974 0.406
Fe 0.457 0.472 0.294
Fe 0.464 0.464 0.901
Fe 0.470 0.471 0.098
Fe 0.472 0.501 0.501
Fe 0.510 0.524 0.707
Fe 0.985 0.990 0.800
Fe 0.999 0.005 0.200
O 0.168 0.171 0.897
O 0.172 0.177 0.098
O 0.175 0.168 0.302
O 0.192 0.179 0.503
O 0.284 0.680 0.195
O 0.288 0.688 0.804
O 0.290 0.675 0.999
O 0.296 0.665 0.396
O 0.313 0.679 0.605
O 0.674 0.290 0.999
O 0.675 0.290 0.197
O 0.684 0.293 0.803
O 0.796 0.782 0.499
O 0.812 0.807 0.703
F 0.195 0.191 0.701
F 0.686 0.279 0.398
F 0.697 0.291 0.603
F 0.784 0.787 0.901
F 0.785 0.782 0.299
F 0.787 0.789 0.099

***

(2)
This record from the Materials Project describes an optimized crystal structure of MgZn2W2O8. The functional is PBE with a Hubbard U.

Summary:
MP2020-corrected energy   -96.56 eV/cell
Symmetry   P2, No. 3
ΔH_f (0 K)   -26.94 eV per formula unit
Polymorph energy (0 for the lowest one)   0.0342 eV/atom
M_tot   2.00 μB per formula unit
Calculated total energy   -6.322 eV/atom

Cell lengths 5.083, 6.411, 5.149 Å; angles 90.00, 102.08, 90.00 degrees
Atoms (fractional coordinates):
Mg 0.000 0.000 0.000
Zn 0.500 0.222 0.000
Zn 0.500 0.822 0.500
W 0.000 0.247 0.500
W 0.000 0.541 0.000
O 0.210 0.270 0.206
O 0.213 0.476 0.738
O 0.221 0.767 0.196
O 0.249 0.049 0.711
O 0.751 0.049 0.289
O 0.779 0.767 0.804
O 0.787 0.476 0.262
O 0.790 0.270 0.794

***

(3)
This record from the Materials Project describes an optimized crystal structure of Li7Mn5O12. The functional is PBE with a Hubbard U.

Summary:
MP2020-corrected energy   -170.02 eV/cell
Symmetry   P1, No. 1
ΔH_f (0 K)   -51.48 eV per formula unit
Polymorph energy (0 for the lowest one)   0.0119 eV/atom
M_tot   4.00 μB per formula unit
Calculated total energy   -6.393 eV/atom

Cell lengths 5.969, 5.998, 6.538 Å; angles 76.46, 75.40, 86.02 degrees
Atoms (fractional coordinates):
Li 0.000 0.000 0.000
Li 0.002 0.504 0.001
Li 0.334 0.840 0.671
Li 0.338 0.322 0.682
Li 0.497 0.998 0.996
Li 0.662 0.157 0.330
Li 0.665 0.677 0.317
Mn 0.172 0.676 0.333
Mn 0.173 0.171 0.335
Mn 0.501 0.500 0.003
Mn 0.825 0.326 0.676
Mn 0.825 0.834 0.666
O 0.078 0.103 0.659
O 0.079 0.605 0.647
O 0.254 0.733 0.020
O 0.270 0.272 0.022
O 0.381 0.907 0.336
O 0.420 0.446 0.318
O 0.578 0.556 0.691
O 0.598 0.071 0.655
O 0.729 0.729 0.983
O 0.742 0.265 0.996
O 0.923 0.899 0.338
O 0.948 0.431 0.350

***

(4)
This record from the Materials Project describes an optimized crystal structure of TiFe2Bi2PbO9. The functional is PBE with a Hubbard U.

Summary:
MP2020-corrected energy   -110.87 eV/cell
Symmetry   Cmm2, No. 35
ΔH_f (0 K)   -30.01 eV per formula unit
Polymorph energy (0 for the lowest one)   0.0000 eV/atom
M_tot   10.00 μB per formula unit
Calculated total energy   -6.678 eV/atom

Cell lengths 8.513, 8.513, 4.765 Å; angles 90.00, 90.00, 143.00 degrees
Atoms (fractional coordinates):
Ti 0.000 0.000 0.000
Fe 0.336 0.664 0.985
Fe 0.664 0.336 0.985
Bi 0.174 0.826 0.413
Bi 0.826 0.174 0.413
Pb 0.500 0.500 0.447
O 0.000 0.000 0.632
O 0.000 0.500 0.126
O 0.160 0.328 0.121
O 0.321 0.679 0.598
O 0.328 0.160 0.121
O 0.500 0.000 0.126
O 0.672 0.840 0.121
O 0.679 0.321 0.598
O 0.840 0.672 0.121

***

(5)
This record from the Materials Project describes an optimized crystal structure of Ba2CaMn2CuF14. The functional is PBE with a Hubbard U.

Summary:
MP2020-corrected energy   -242.21 eV/cell
Symmetry   C2/c, No. 15
ΔH_f (0 K)   -66.03 eV per formula unit
M_tot   7.00 μB per formula unit
Calculated total energy   -5.565 eV/atom

Cell lengths 7.450, 7.450, 15.103 Å; angles 93.24, 93.24, 43.17 degrees
Atoms (fractional coordinates):
Ba 0.119 0.257 0.125
Ba 0.257 0.119 0.625
Ba 0.743 0.881 0.375
Ba 0.881 0.743 0.875
Ca 0.419 0.581 0.250
Ca 0.581 0.419 0.750
Mn 0.100 0.146 0.377
Mn 0.146 0.100 0.877
Mn 0.854 0.900 0.123
Mn 0.900 0.854 0.623
Cu 0.500 0.500 0.000
Cu 0.500 0.500 0.500
F 0.057 0.622 0.228
F 0.065 0.925 0.344
F 0.075 0.935 0.156
F 0.117 0.601 0.047
F 0.134 0.696 0.511
F 0.157 0.349 0.404
F 0.165 0.594 0.708
F 0.304 0.866 0.989
F 0.349 0.157 0.904
F 0.378 0.943 0.272
F 0.383 0.509 0.882
F 0.399 0.883 0.453
F 0.406 0.835 0.792
F 0.491 0.617 0.618
F 0.509 0.383 0.382
F 0.594 0.165 0.208
F 0.601 0.117 0.547
F 0.617 0.491 0.118
F 0.622 0.057 0.728
F 0.651 0.843 0.096
F 0.696 0.134 0.011
F 0.835 0.406 0.292
F 0.843 0.651 0.596
F 0.866 0.304 0.489
F 0.883 0.399 0.953
F 0.925 0.065 0.844
F 0.935 0.075 0.656
F 0.943 0.378 0.772

***

(6)
This record from the Materials Project describes an optimized crystal structure of Gd2W4O15. The functional is PBE with a Hubbard U.

Summary:
MP2020-corrected energy   -416.67 eV/cell
Symmetry   P-1, No. 2
ΔH_f (0 K)   -54.13 eV per formula unit
Polymorph energy (0 for the lowest one)   0.0148 eV/atom
M_tot   14.00 μB per formula unit
Calculated total energy   -8.585 eV/atom

Cell lengths 7.419, 7.574, 11.802 Å; angles 88.72, 83.61, 84.01 degrees
Atoms (fractional coordinates):
Gd 0.182 0.092 0.223
Gd 0.258 0.592 0.780
Gd 0.742 0.408 0.220
Gd 0.818 0.908 0.777
W 0.068 0.755 0.474
W 0.224 0.574 0.129
W 0.272 0.077 0.871
W 0.402 0.331 0.468
W 0.598 0.669 0.532
W 0.728 0.923 0.129
W 0.776 0.426 0.871
W 0.932 0.245 0.526
O 0.068 0.406 0.181
O 0.086 0.737 0.625
O 0.126 0.960 0.404
O 0.146 0.907 0.813
O 0.158 0.792 0.189
O 0.166 0.282 0.556
O 0.202 0.103 0.021
O 0.207 0.567 0.410
O 0.220 0.600 0.977
O 0.237 0.294 0.803
O 0.369 0.230 0.335
O 0.413 0.520 0.598
O 0.450 0.491 0.157
O 0.460 0.833 0.467
O 0.491 0.003 0.152
O 0.509 0.997 0.848
O 0.540 0.167 0.533
O 0.550 0.509 0.843
O 0.587 0.480 0.402
O 0.631 0.770 0.665
O 0.763 0.706 0.197
O 0.780 0.400 0.023
O 0.793 0.433 0.590
O 0.798 0.897 0.979
O 0.834 0.718 0.444
O 0.842 0.208 0.811
O 0.854 0.093 0.187
O 0.874 0.040 0.596
O 0.914 0.263 0.375
O 0.932 0.594 0.819

***

(7)
This record from the Materials Project describes an optimized crystal structure of Li2VFeP2H2O10. The functional is PBE with a Hubbard U.

Summary:
MP2020-corrected energy   -261.99 eV/cell
Symmetry   P-1, No. 2
ΔH_f (0 K)   -42.53 eV per formula unit
Polymorph energy (0 for the lowest one)   0.0070 eV/atom
M_tot   7.00 μB per formula unit
Calculated total energy   -6.676 eV/atom

Cell lengths 5.433, 7.388, 10.194 Å; angles 104.52, 101.05, 106.17 degrees
Atoms (fractional coordinates):
Li 0.024 0.449 0.127
Li 0.476 0.050 0.373
Li 0.524 0.950 0.627
Li 0.976 0.551 0.873
V 0.000 0.500 0.500
V 0.500 0.500 0.000
Fe 0.000 0.000 0.500
Fe 0.500 0.000 0.000
P 0.024 0.894 0.162
P 0.476 0.606 0.338
P 0.524 0.394 0.662
P 0.976 0.106 0.838
H 0.121 0.843 0.680
H 0.379 0.661 0.819
H 0.621 0.339 0.181
H 0.879 0.157 0.320
O 0.066 0.886 0.316
O 0.102 0.324 0.943
O 0.131 0.806 0.581
O 0.159 0.984 0.864
O 0.192 0.504 0.345
O 0.309 0.994 0.154
O 0.340 0.517 0.637
O 0.370 0.697 0.919
O 0.398 0.177 0.556
O 0.433 0.614 0.185
O 0.567 0.386 0.815
O 0.602 0.823 0.444
O 0.630 0.303 0.081
O 0.660 0.483 0.363
O 0.691 0.006 0.846
O 0.808 0.496 0.655
O 0.841 0.016 0.136
O 0.869 0.194 0.419
O 0.898 0.676 0.057
O 0.934 0.114 0.684

***

(8)
This record from the Materials Project describes an optimized crystal structure of MgCr3S6O24. The functional is PBE with a Hubbard U.

Summary:
MP2020-corrected energy   -240.70 eV/cell
Symmetry   P1, No. 1
ΔH_f (0 K)   -66.57 eV per formula unit
Polymorph energy (0 for the lowest one)   0.0715 eV/atom
M_tot   8.00 μB per formula unit
Calculated total energy   -6.418 eV/atom

Cell lengths 8.321, 8.347, 8.895 Å; angles 63.97, 62.31, 60.94 degrees
Atoms (fractional coordinates):
Mg 0.000 0.000 0.000
Cr 0.254 0.513 0.253
Cr 0.445 0.719 0.643
Cr 0.759 0.037 0.715
S 0.050 0.652 0.930
S 0.146 0.127 0.435
S 0.376 0.896 0.942
S 0.564 0.408 0.434
S 0.631 0.339 0.925
S 0.858 0.820 0.435
O 0.091 0.634 0.088
O 0.118 0.154 0.276
O 0.225 0.076 0.976
O 0.230 0.260 0.417
O 0.238 0.607 0.783
O 0.275 0.927 0.496
O 0.317 0.876 0.812
O 0.357 0.735 0.106
O 0.366 0.487 0.422
O 0.486 0.353 0.101
O 0.576 0.888 0.870
O 0.579 0.219 0.575
O 0.580 0.542 0.492
O 0.598 0.212 0.874
O 0.608 0.530 0.795
O 0.653 0.834 0.502
O 0.720 0.377 0.272
O 0.828 0.259 0.931
O 0.893 0.955 0.259
O 0.897 0.865 0.558
O 0.937 0.872 0.880
O 0.941 0.545 0.964
O 0.952 0.167 0.581
O 0.993 0.622 0.428